# NaV2P2H8O14

Crystalline NaV2P2H8O14 at its relaxed geometry (PBE with a Hubbard U, the Materials Project).

Cell lengths 6.369, 6.359, 13.446 Å; angles 80.18, 87.33, 89.86 degrees
Atoms (fractional coordinates):
O (0.067, 0.751, 0.926)
O (0.933, 0.249, 0.074)
O (0.933, 0.739, 0.574)
O (0.221, 0.419, 0.570)
O (0.549, 0.211, 0.072)
O (0.770, 0.855, 0.774)
O (0.748, 0.220, 0.576)
O (0.741, 0.461, 0.925)
O (0.777, 0.075, 0.935)
O (0.263, 0.033, 0.569)
O (0.948, 0.833, 0.250)
O (0.454, 0.299, 0.429)
O (0.748, 0.706, 0.074)
O (0.464, 0.629, 0.248)
O (0.223, 0.925, 0.065)
O (0.546, 0.701, 0.571)
O (0.052, 0.167, 0.750)
O (0.536, 0.371, 0.752)
O (0.779, 0.581, 0.430)
O (0.249, 0.674, 0.725)
O (0.252, 0.294, 0.926)
O (0.067, 0.261, 0.426)
O (0.737, 0.967, 0.431)
O (0.230, 0.145, 0.226)
O (0.751, 0.326, 0.275)
O (0.451, 0.789, 0.928)
O (0.252, 0.780, 0.424)
O (0.259, 0.539, 0.075)
H (0.158, 0.677, 0.785)
H (0.651, 0.450, 0.258)
H (0.180, 0.241, 0.271)
H (0.020, 0.228, 0.811)
H (0.616, 0.397, 0.810)
H (0.842, 0.323, 0.215)
H (0.920, 0.716, 0.307)
H (0.080, 0.284, 0.693)
H (0.980, 0.772, 0.189)
H (0.384, 0.603, 0.190)
H (0.617, 0.431, 0.690)
H (0.820, 0.759, 0.729)
H (0.865, 0.984, 0.756)
H (0.349, 0.550, 0.742)
H (0.135, 0.016, 0.244)
H (0.383, 0.569, 0.310)
P (0.748, 0.747, 0.502)
P (0.750, 0.249, 0.002)
P (0.252, 0.253, 0.498)
P (0.250, 0.751, 0.998)
Na (0.414, 0.011, 0.747)
Na (0.586, 0.989, 0.253)
V (0.241, 0.736, 0.546)
V (0.756, 0.761, 0.952)
V (0.244, 0.239, 0.048)
V (0.759, 0.264, 0.454)

M_tot (μB per atom): 0.04
Total DFT energy (no corrections) (eV for the cell shown): -333.8

# NaPH12W12O40

Crystalline NaPH12W12O40 at its relaxed geometry (PBE with a Hubbard U, the Materials Project).

Cell lengths 14.488, 14.583, 14.552 Å; angles 118.51, 93.33, 111.23 degrees
Atoms (fractional coordinates):
O (0.718, 0.638, 0.844)
O (0.999, 0.199, 0.848)
O (0.432, 0.247, 0.591)
O (0.476, 0.698, 0.626)
O (0.729, 0.845, 0.329)
O (0.288, 0.665, 0.978)
O (0.954, 0.829, 0.349)
O (0.441, 0.308, 0.207)
O (0.524, 0.302, 0.374)
O (0.443, 0.875, 0.164)
O (0.443, 0.106, 0.065)
O (0.312, 0.010, 0.475)
O (0.731, 0.229, 0.602)
O (0.152, 0.170, 0.174)
O (0.999, 0.003, 0.294)
O (0.166, 0.004, 0.232)
O (0.365, 0.970, 0.663)
O (0.685, 0.663, 0.660)
O (0.433, 0.396, 0.530)
O (0.270, 0.755, 0.194)
O (0.283, 0.938, 0.861)
O (0.271, 0.155, 0.671)
O (0.730, 0.245, 0.806)
O (0.472, 0.895, 0.763)
O (0.717, 0.062, 0.139)
O (0.564, 0.073, 0.633)
O (0.148, 0.220, 0.373)
O (0.727, 0.864, 0.963)
O (0.567, 0.604, 0.470)
O (0.148, 0.841, 0.308)
O (0.568, 0.753, 0.409)
O (0.997, 0.050, 0.909)
O (0.146, 0.039, 0.449)
O (0.688, 0.990, 0.525)
O (0.739, 0.726, 0.438)
O (0.557, 0.894, 0.935)
O (0.001, 0.997, 0.706)
O (0.001, 0.801, 0.152)
O (0.854, 0.961, 0.551)
O (0.677, 0.834, 0.609)
O (0.673, 0.887, 0.801)
O (0.635, 0.030, 0.337)
O (0.959, 0.144, 0.229)
O (0.003, 0.950, 0.091)
O (0.323, 0.166, 0.391)
O (0.372, 0.598, 0.402)
O (0.364, 0.703, 0.784)
O (0.436, 0.927, 0.367)
O (0.557, 0.125, 0.836)
O (0.559, 0.692, 0.793)
O (0.676, 0.107, 0.974)
O (0.046, 0.171, 0.651)
O (0.324, 0.893, 0.026)
O (0.261, 0.274, 0.562)
O (0.733, 0.540, 0.460)
O (0.034, 0.282, 0.076)
O (0.628, 0.402, 0.598)
O (0.282, 0.362, 0.156)
O (0.712, 0.335, 0.022)
O (0.636, 0.297, 0.216)
O (0.834, 0.996, 0.768)
O (0.157, 0.922, 0.001)
O (0.844, 0.223, 0.942)
O (0.326, 0.975, 0.258)
O (0.327, 0.113, 0.199)
O (0.156, 0.777, 0.058)
O (0.273, 0.136, 0.037)
O (0.520, 0.157, 0.435)
O (0.269, 0.771, 0.398)
O (0.674, 0.025, 0.742)
O (0.848, 0.830, 0.826)
O (0.315, 0.337, 0.340)
O (0.852, 0.780, 0.627)
O (0.843, 0.078, 0.999)
O (0.480, 0.843, 0.565)
O (0.041, 0.856, 0.771)
O (0.966, 0.718, 0.924)
O (0.852, 0.159, 0.692)
O (0.528, 0.105, 0.237)
O (0.267, 0.460, 0.540)
W (0.057, 0.833, 0.046)
W (0.493, 0.699, 0.494)
W (0.297, 0.001, 0.001)
W (0.054, 0.096, 0.231)
W (0.715, 0.855, 0.450)
W (0.488, 0.982, 0.691)
W (0.297, 0.794, 0.085)
W (0.286, 0.337, 0.469)
W (0.285, 0.145, 0.550)
W (0.946, 0.904, 0.769)
W (0.288, 0.861, 0.348)
W (0.507, 0.301, 0.506)
W (0.706, 0.737, 0.816)
W (0.950, 0.096, 0.689)
W (0.050, 0.904, 0.311)
W (0.486, 0.777, 0.780)
W (0.512, 0.018, 0.309)
W (0.712, 0.139, 0.652)
W (0.714, 0.663, 0.531)
W (0.703, 0.206, 0.915)
W (0.294, 0.263, 0.184)
W (0.514, 0.223, 0.220)
W (0.703, 0.999, 0.999)
W (0.943, 0.167, 0.954)
P (0.286, 0.065, 0.270)
P (0.714, 0.935, 0.730)
H (0.151, 0.872, 0.584)
H (0.780, 0.591, 0.217)
H (0.234, 0.672, 0.551)
H (0.964, 0.605, 0.563)
H (0.849, 0.128, 0.416)
H (0.042, 0.614, 0.373)
H (0.225, 0.421, 0.982)
H (0.036, 0.395, 0.437)
H (0.254, 0.225, 0.901)
H (0.866, 0.540, 0.701)
H (0.958, 0.386, 0.627)
H (0.431, 0.501, 0.808)
H (0.141, 0.641, 0.764)
H (0.940, 0.457, 0.893)
H (0.766, 0.328, 0.449)
H (0.458, 0.305, 0.954)
H (0.134, 0.460, 0.299)
H (0.542, 0.695, 0.046)
H (0.775, 0.579, 0.018)
H (0.746, 0.775, 0.099)
H (0.060, 0.543, 0.107)
H (0.569, 0.499, 0.192)
H (0.220, 0.409, 0.783)
H (0.859, 0.359, 0.236)
Na (0.160, 0.796, 0.706)
Na (0.840, 0.204, 0.294)

M_tot (μB per atom): 0.19
Total DFT energy (no corrections) (eV for the cell shown): -811.7

# RbNa2V5H10O19

Crystalline RbNa2V5H10O19 at its relaxed geometry (PBE with a Hubbard U, the Materials Project).

Cell lengths 8.569, 10.302, 11.505 Å; angles 69.11, 86.93, 66.74 degrees
Atoms (fractional coordinates):
O (0.264, 0.371, 0.651)
O (0.485, 0.875, 0.358)
O (0.172, 0.873, 0.398)
O (0.432, 0.619, 0.397)
O (0.244, 0.625, 0.219)
O (0.609, 0.630, 0.573)
O (0.445, 0.370, 0.827)
O (0.031, 0.474, 0.261)
O (0.609, 0.897, 0.130)
O (0.296, 0.876, 0.180)
O (0.971, 0.181, 0.302)
O (0.555, 0.630, 0.173)
O (0.079, 0.166, 0.025)
O (0.736, 0.629, 0.349)
O (0.339, 0.913, 0.566)
O (0.780, 0.525, 0.011)
O (0.507, 0.615, 0.817)
O (0.670, 0.817, 0.732)
O (0.704, 0.124, 0.820)
O (0.679, 0.372, 0.387)
O (0.391, 0.103, 0.870)
O (0.321, 0.628, 0.613)
O (0.493, 0.385, 0.183)
O (0.970, 0.885, 0.213)
O (0.828, 0.127, 0.602)
O (0.661, 0.087, 0.434)
O (0.969, 0.526, 0.739)
O (0.330, 0.183, 0.268)
O (0.568, 0.381, 0.603)
O (0.030, 0.115, 0.787)
O (0.921, 0.834, 0.975)
O (0.029, 0.819, 0.698)
O (0.119, 0.629, 0.436)
O (0.220, 0.475, 0.989)
O (0.391, 0.370, 0.427)
O (0.515, 0.125, 0.642)
O (0.756, 0.375, 0.781)
O (0.881, 0.371, 0.564)
H (0.020, 0.069, 0.343)
H (0.696, 0.541, 0.947)
H (0.104, 0.177, 0.939)
H (0.709, 0.567, 0.071)
H (0.410, 0.232, 0.253)
H (0.590, 0.768, 0.747)
H (0.865, 0.223, 0.338)
H (0.105, 0.531, 0.246)
H (0.135, 0.777, 0.662)
H (0.926, 0.537, 0.288)
H (0.896, 0.823, 0.061)
H (0.601, 0.928, 0.702)
H (0.074, 0.463, 0.712)
H (0.834, 0.935, 0.923)
H (0.399, 0.072, 0.298)
H (0.895, 0.469, 0.754)
H (0.166, 0.065, 0.077)
H (0.291, 0.433, 0.929)
H (0.980, 0.931, 0.657)
H (0.304, 0.459, 0.053)
Rb (0.270, 0.822, 0.930)
Rb (0.730, 0.178, 0.070)
V (0.311, 0.499, 0.523)
V (0.531, 0.506, 0.734)
V (0.164, 0.784, 0.283)
V (0.530, 0.791, 0.233)
V (0.470, 0.209, 0.767)
V (0.689, 0.501, 0.477)
V (0.378, 0.796, 0.491)
V (0.836, 0.216, 0.717)
V (0.469, 0.494, 0.266)
V (0.622, 0.204, 0.509)
Na (0.064, 0.331, 0.129)
Na (0.176, 0.237, 0.436)
Na (0.824, 0.763, 0.564)
Na (0.936, 0.669, 0.871)

M_tot (μB per atom): 0.00
Total DFT energy (no corrections) (eV for the cell shown): -452.1

# Na3VH6O7

Crystalline Na3VH6O7 at its relaxed geometry (PBE with a Hubbard U, the Materials Project).

Cell lengths 5.589, 5.589, 5.589 Å; angles 100.00, 100.00, 100.00 degrees
Atoms (fractional coordinates):
H (0.923, 0.608, 0.256)
H (0.751, 0.511, 0.884)
H (0.256, 0.923, 0.608)
H (0.511, 0.884, 0.751)
H (0.608, 0.256, 0.923)
H (0.884, 0.751, 0.511)
Na (0.429, 0.624, 0.177)
Na (0.177, 0.429, 0.624)
Na (0.624, 0.177, 0.429)
O (0.044, 0.694, 0.000)
O (0.582, 0.397, 0.840)
O (0.840, 0.582, 0.397)
O (0.694, 0.000, 0.044)
O (0.218, 0.218, 0.218)
O (0.000, 0.044, 0.694)
O (0.397, 0.840, 0.582)
V (0.997, 0.997, 0.997)

M_tot (μB per atom): 0.00
Total DFT energy (no corrections) (eV for the cell shown): -91.2
Piezoelectric modulus e_max (C/m2): 0.65

# Na3V5H24O26

Crystalline Na3V5H24O26 at its relaxed geometry (PBE with a Hubbard U, the Materials Project).

Cell lengths 10.702, 11.491, 11.922 Å; angles 109.02, 103.78, 111.76 degrees
Atoms (fractional coordinates):
O (0.442, 0.335, 0.592)
O (0.372, 0.227, 0.224)
O (0.859, 0.020, 0.572)
O (0.613, 0.862, 0.285)
O (0.387, 0.138, 0.715)
O (0.941, 0.741, 0.482)
O (0.317, 0.022, 0.294)
O (0.130, 0.537, 0.440)
O (0.193, 0.186, 0.347)
O (0.513, 0.069, 0.176)
O (0.990, 0.179, 0.147)
O (0.958, 0.598, 0.922)
O (0.725, 0.583, 0.698)
O (0.275, 0.417, 0.302)
O (0.072, 0.033, 0.780)
O (0.772, 0.726, 0.254)
O (0.059, 0.259, 0.518)
O (0.287, 0.702, 0.244)
O (0.888, 0.529, 0.173)
O (0.444, 0.763, 0.027)
O (0.042, 0.402, 0.078)
O (0.558, 0.665, 0.408)
O (0.112, 0.471, 0.827)
O (0.182, 0.757, 0.719)
O (0.663, 0.190, 0.493)
O (0.041, 0.800, 0.167)
O (0.818, 0.243, 0.281)
O (0.228, 0.274, 0.746)
O (0.162, 0.219, 0.036)
O (0.487, 0.931, 0.824)
O (0.710, 0.950, 0.019)
O (0.959, 0.200, 0.833)
O (0.838, 0.781, 0.964)
O (0.100, 0.006, 0.094)
O (0.393, 0.468, 0.074)
O (0.141, 0.980, 0.428)
O (0.607, 0.532, 0.926)
O (0.870, 0.463, 0.560)
O (0.635, 0.453, 0.299)
O (0.556, 0.237, 0.973)
O (0.010, 0.821, 0.853)
O (0.713, 0.298, 0.756)
O (0.807, 0.814, 0.653)
O (0.365, 0.547, 0.701)
O (0.227, 0.842, 0.046)
O (0.628, 0.773, 0.776)
O (0.773, 0.158, 0.954)
O (0.290, 0.050, 0.981)
O (0.900, 0.994, 0.906)
O (0.928, 0.967, 0.220)
O (0.683, 0.978, 0.706)
O (0.337, 0.810, 0.507)
Na (0.193, 0.901, 0.593)
Na (0.117, 0.504, 0.629)
Na (0.366, 0.521, 0.893)
Na (0.883, 0.496, 0.371)
Na (0.634, 0.479, 0.107)
Na (0.807, 0.099, 0.407)
H (0.455, 0.635, 0.726)
H (0.791, 0.364, 0.523)
H (0.617, 0.529, 0.343)
H (0.559, 0.142, 0.436)
H (0.398, 0.540, 0.150)
H (0.671, 0.218, 0.584)
H (0.113, 0.251, 0.593)
H (0.209, 0.636, 0.477)
H (0.068, 0.524, 0.869)
H (0.441, 0.858, 0.564)
H (0.480, 0.167, 0.985)
H (0.602, 0.460, 0.850)
H (0.125, 0.776, 0.770)
H (0.795, 0.395, 0.810)
H (0.932, 0.476, 0.131)
H (0.205, 0.605, 0.190)
H (0.520, 0.833, 0.015)
H (0.837, 0.782, 0.224)
H (0.541, 0.826, 0.195)
H (0.941, 0.623, 0.178)
H (0.287, 0.819, 0.779)
H (0.313, 0.378, 0.058)
H (0.105, 0.240, 0.456)
H (0.887, 0.749, 0.407)
H (0.545, 0.365, 0.274)
H (0.059, 0.377, 0.822)
H (0.712, 0.773, 0.270)
H (0.687, 0.622, 0.942)
H (0.838, 0.518, 0.616)
H (0.559, 0.816, 0.327)
H (0.636, 0.214, 0.979)
H (0.742, 0.242, 0.793)
H (0.288, 0.227, 0.730)
H (0.875, 0.224, 0.230)
H (0.539, 0.400, 0.601)
H (0.459, 0.174, 0.805)
H (0.162, 0.482, 0.384)
H (0.626, 0.715, 0.500)
H (0.461, 0.600, 0.399)
H (0.713, 0.181, 0.221)
H (0.329, 0.782, 0.416)
H (0.364, 0.786, 0.021)
H (0.163, 0.218, 0.776)
H (0.258, 0.758, 0.207)
H (0.383, 0.471, 0.657)
H (0.441, 0.184, 0.673)
H (0.374, 0.285, 0.500)
H (0.895, 0.760, 0.544)
V (0.972, 0.229, 0.997)
V (0.028, 0.771, 0.003)
V (0.888, 0.973, 0.073)
V (0.791, 0.755, 0.778)
V (0.655, 0.958, 0.849)
V (0.345, 0.042, 0.151)
V (0.865, 0.009, 0.706)
V (0.112, 0.027, 0.927)
V (0.209, 0.245, 0.222)
V (0.135, 0.991, 0.294)

M_tot (μB per atom): 0.00
Total DFT energy (no corrections) (eV for the cell shown): -659.5